No. 1
Entry from Materials Project: a geometry-optimized BaMnBi2 structure (PBE-GGA). Values from VASP.

```
&SYSTEM
  ibrav = 0, nat = 16, ntyp = 3
/
ATOMIC_SPECIES
Ba 137.33 Ba.upf
Mn 54.94 Mn.upf
Bi 208.98 Bi.upf
CELL_PARAMETERS angstrom
4.762 0.000 0.000
0.000 4.762 0.000
0.000 0.000 23.688
ATOMIC_POSITIONS crystal
Ba 0.000 0.000 0.119
Ba 0.000 0.000 0.881
Ba 0.500 0.500 0.381
Ba 0.500 0.500 0.619
Mn 0.000 0.500 0.250
Mn 0.000 0.500 0.750
Mn 0.500 0.000 0.250
Mn 0.500 0.000 0.750
Bi 0.000 0.000 0.316
Bi 0.000 0.000 0.684
Bi 0.000 0.500 0.000
Bi 0.000 0.500 0.500
Bi 0.500 0.000 0.000
Bi 0.500 0.000 0.500
Bi 0.500 0.500 0.184
Bi 0.500 0.500 0.816
```

Properties
For the total magnetic moment, the calculation gives 1.07 μB per atom. Its space group is I4/mmm (139). The crystal system is tetragonal. Its total energy is -5.0094 eV/atom.



No. 2
Entry from Materials Project: a geometry-optimized Ba3Bi2N4 structure (PBE-GGA). Values from VASP.

```
&SYSTEM
  ibrav = 0, nat = 18, ntyp = 3
/
ATOMIC_SPECIES
Ba 137.33 Ba.upf
Bi 208.98 Bi.upf
N 14.01 N.upf
CELL_PARAMETERS angstrom
6.002 -6.387 0.000
6.002 6.387 0.000
-1.196 0.000 6.200
ATOMIC_POSITIONS crystal
Ba 0.105 0.895 0.750
Ba 0.282 0.495 0.456
Ba 0.495 0.282 0.956
Ba 0.505 0.718 0.044
Ba 0.718 0.505 0.544
Ba 0.895 0.105 0.250
Bi 0.100 0.321 0.866
Bi 0.321 0.100 0.366
Bi 0.679 0.900 0.634
Bi 0.900 0.679 0.134
N 0.134 0.178 0.561
N 0.178 0.134 0.061
N 0.293 0.493 0.914
N 0.493 0.293 0.414
N 0.507 0.707 0.586
N 0.707 0.507 0.086
N 0.822 0.866 0.939
N 0.866 0.822 0.439
```

Properties
For the total magnetic moment, the calculation gives 0.00 μB per atom. Its space group is C2/c (15). The crystal system is monoclinic. Its total energy is -5.3181 eV/atom.



No. 3
Entry from Materials Project: a geometry-optimized Ba3Sr3Bi2N2 structure (PBE-GGA). Values from VASP.

```
&SYSTEM
  ibrav = 0, nat = 20, ntyp = 4
/
ATOMIC_SPECIES
Ba 137.33 Ba.upf
Sr 87.62 Sr.upf
Bi 208.98 Bi.upf
N 14.01 N.upf
CELL_PARAMETERS angstrom
7.639 0.000 0.000
-3.820 6.616 0.000
0.000 0.000 12.794
ATOMIC_POSITIONS crystal
Ba 0.175 0.350 0.250
Ba 0.175 0.825 0.250
Ba 0.350 0.175 0.750
Ba 0.650 0.825 0.250
Ba 0.825 0.175 0.750
Ba 0.825 0.650 0.750
Sr 0.000 0.500 0.000
Sr 0.000 0.500 0.500
Sr 0.500 0.000 0.000
Sr 0.500 0.000 0.500
Sr 0.500 0.500 0.000
Sr 0.500 0.500 0.500
Bi 0.000 0.000 0.000
Bi 0.000 0.000 0.500
Bi 0.333 0.667 0.750
Bi 0.667 0.333 0.250
N 0.333 0.667 0.113
N 0.333 0.667 0.387
N 0.667 0.333 0.613
N 0.667 0.333 0.887
```

Properties
For the total magnetic moment, the calculation gives 0.00 μB per atom. Its space group is P6_3/mmc (194). The crystal system is hexagonal. Its total energy is -4.3374 eV/atom.



No. 4
Entry from Materials Project: a geometry-optimized BaNaNbBiO6 structure (PBE-GGA). Values from VASP.

```
&SYSTEM
  ibrav = 0, nat = 40, ntyp = 5
/
ATOMIC_SPECIES
Ba 137.33 Ba.upf
Na 22.99 Na.upf
Nb 92.91 Nb.upf
Bi 208.98 Bi.upf
O 16.00 O.upf
CELL_PARAMETERS angstrom
8.420 0.000 0.000
0.000 8.446 0.000
0.000 0.000 8.460
ATOMIC_POSITIONS crystal
Ba 0.250 0.250 0.250
Ba 0.250 0.750 0.250
Ba 0.750 0.250 0.750
Ba 0.750 0.750 0.750
Na 0.250 0.250 0.750
Na 0.250 0.750 0.750
Na 0.750 0.250 0.250
Na 0.750 0.750 0.250
Nb 0.000 0.000 0.000
Nb 0.000 0.500 0.500
Nb 0.500 0.000 0.500
Nb 0.500 0.500 0.000
Bi 0.000 0.000 0.500
Bi 0.000 0.500 0.000
Bi 0.500 0.000 0.000
Bi 0.500 0.500 0.500
O 0.011 0.020 0.764
O 0.011 0.480 0.736
O 0.019 0.736 0.519
O 0.019 0.764 0.981
O 0.237 0.015 0.022
O 0.237 0.485 0.478
O 0.263 0.015 0.478
O 0.263 0.485 0.022
O 0.481 0.736 0.981
O 0.481 0.764 0.519
O 0.489 0.020 0.736
O 0.489 0.480 0.764
O 0.511 0.520 0.236
O 0.511 0.980 0.264
O 0.519 0.236 0.481
O 0.519 0.264 0.019
O 0.737 0.515 0.978
O 0.737 0.985 0.522
O 0.763 0.515 0.522
O 0.763 0.985 0.978
O 0.981 0.236 0.019
O 0.981 0.264 0.481
O 0.989 0.520 0.264
O 0.989 0.980 0.236
```

Properties
For the total magnetic moment, the calculation gives 0.00 μB per atom. Its space group is Pnnn (48). The value obtained for the excess energy over the best structure of this formula in the dataset is 0.000 eV per atom. The crystal system is orthorhombic. Its total energy is -6.7508 eV/atom.



No. 5
Entry from Materials Project: a geometry-optimized BaNaNbBiO6 structure (PBE-GGA). Values from VASP.

```
&SYSTEM
  ibrav = 0, nat = 10, ntyp = 5
/
ATOMIC_SPECIES
Ba 137.33 Ba.upf
Na 22.99 Na.upf
Nb 92.91 Nb.upf
Bi 208.98 Bi.upf
O 16.00 O.upf
CELL_PARAMETERS angstrom
0.000 4.243 4.243
4.243 0.000 4.243
4.243 4.243 0.000
ATOMIC_POSITIONS crystal
Ba 0.000 0.000 0.000
Na 0.500 0.500 0.500
Nb 0.750 0.750 0.750
Bi 0.250 0.250 0.250
O 0.513 0.513 0.987
O 0.513 0.987 0.513
O 0.513 0.987 0.987
O 0.987 0.513 0.513
O 0.987 0.513 0.987
O 0.987 0.987 0.513
```

Properties
For the total magnetic moment, the calculation gives 0.00 μB per atom. Its space group is F-43m (216). The value obtained for the excess energy over the best structure of this formula in the dataset is 0.017 eV per atom. The crystal system is cubic. Its total energy is -6.7341 eV/atom.



No. 6
Entry from Materials Project: a geometry-optimized Ba4NaBi3O12 structure (PBE-GGA). Values from VASP.

```
&SYSTEM
  ibrav = 0, nat = 20, ntyp = 4
/
ATOMIC_SPECIES
Ba 137.33 Ba.upf
Na 22.99 Na.upf
Bi 208.98 Bi.upf
O 16.00 O.upf
CELL_PARAMETERS angstrom
-4.350 4.350 4.350
4.350 -4.350 4.350
4.350 4.350 -4.350
ATOMIC_POSITIONS crystal
Ba 0.000 0.000 0.500
Ba 0.000 0.500 0.000
Ba 0.500 0.000 0.000
Ba 0.500 0.500 0.500
Na 0.000 0.000 0.000
Bi 0.000 0.500 0.500
Bi 0.500 0.000 0.500
Bi 0.500 0.500 0.000
O 0.000 0.265 0.265
O 0.000 0.735 0.735
O 0.250 0.500 0.750
O 0.250 0.750 0.500
O 0.265 0.000 0.265
O 0.265 0.265 0.000
O 0.500 0.250 0.750
O 0.500 0.750 0.250
O 0.735 0.000 0.735
O 0.735 0.735 0.000
O 0.750 0.250 0.500
O 0.750 0.500 0.250
```

Properties
For the total magnetic moment, the calculation gives 0.00 μB per atom. Its space group is Im-3m (229). The crystal system is cubic. Its total energy is -5.7734 eV/atom.



Which value of total energy does entry 3 give?
-4.3374 eV/atom